# 1
SnCl3O4 | the Materials Project | PBE | optimized geometry; size of the total moment = 0.033 μB per atom; calculated density = 2.3 g/cm³; SG = P2_1/c, No. 14; E_form = -0.242 eV per atom
1.0
6.365 0.000 0.000
0.000 9.706 0.000
0.000 8.525 13.644
O Cl Sn
16 12 4
Direct
0.953 0.710 0.204
0.547 0.710 0.704
0.703 0.260 0.800
0.338 0.958 0.530
0.453 0.290 0.296
0.797 0.260 0.300
0.838 0.042 0.970
0.047 0.290 0.796
0.203 0.740 0.700
0.373 0.684 0.750
0.127 0.684 0.250
0.662 0.042 0.470
0.627 0.316 0.250
0.873 0.316 0.750
0.297 0.740 0.200
0.162 0.958 0.030
0.138 0.263 0.515
0.122 0.938 0.826
0.362 0.263 0.015
0.140 0.576 0.086
0.860 0.424 0.914
0.878 0.062 0.174
0.862 0.737 0.485
0.360 0.576 0.586
0.622 0.062 0.674
0.640 0.424 0.414
0.378 0.938 0.326
0.638 0.737 0.985
0.521 0.832 0.482
0.979 0.832 0.982
0.021 0.168 0.018
0.479 0.168 0.518

# 2
Sn2Cl4O3 | the Materials Project | PBE | optimized geometry; size of the total moment = 0.222 μB per atom; calculated density = 2.4 g/cm³; SG = P2_1/c, No. 14; E_form = -0.813 eV per atom
1.0
9.861 0.000 0.000
0.000 7.123 0.000
0.000 3.120 16.956
O Sn Cl
12 8 16
Direct
0.184 0.234 0.960
0.370 0.617 0.926
0.560 0.366 0.284
0.816 0.766 0.040
0.870 0.883 0.074
0.630 0.383 0.074
0.060 0.134 0.716
0.940 0.866 0.284
0.130 0.117 0.926
0.440 0.634 0.716
0.316 0.734 0.960
0.684 0.266 0.040
0.446 0.177 0.247
0.431 0.612 0.599
0.554 0.823 0.753
0.069 0.112 0.599
0.569 0.388 0.401
0.054 0.677 0.247
0.946 0.323 0.753
0.931 0.888 0.401
0.183 0.539 0.359
0.810 0.227 0.418
0.310 0.273 0.582
0.190 0.773 0.582
0.302 0.311 0.146
0.067 0.572 0.790
0.683 0.961 0.641
0.567 0.928 0.210
0.690 0.727 0.418
0.698 0.689 0.854
0.198 0.811 0.146
0.933 0.428 0.210
0.817 0.461 0.641
0.433 0.072 0.790
0.317 0.039 0.359
0.802 0.189 0.854

# 3
SrClO | the Materials Project | PBE | optimized geometry; size of the total moment = 0.333 μB per atom; calculated density = 3.0 g/cm³; SG = P6_3mc, No. 186; E_form = -2.096 eV per atom
1.0
2.136 -3.700 0.000
2.136 3.700 0.000
0.000 0.000 9.651
O Cl Sr
2 2 2
Direct
0.000 0.000 0.985
0.000 0.000 0.485
0.667 0.333 0.749
0.333 0.667 0.249
0.667 0.333 0.439
0.333 0.667 0.939